1.
VASP calculation (GGA-PBE) on a relaxed MnNbSi crystal.

Cell lengths 6.424, 6.424, 3.498 Å; angles 90.00, 90.00, 120.00 degrees
Fractional positions:
1 Mn 0.000 0.755 0.000
2 Mn 0.245 0.245 0.000
3 Mn 0.755 0.000 0.000
4 Nb 0.000 0.411 0.500
5 Nb 0.411 0.000 0.500
6 Nb 0.589 0.589 0.500
7 Si 0.000 0.000 0.500
8 Si 0.333 0.667 0.000
9 Si 0.667 0.333 0.000

Space group: P-62m
Formation energy from the elements: -533 meV/atom

---

2.
VASP calculation (GGA-PBE) on a relaxed Mn4Nb2Si5 crystal.

Cell lengths 9.445, 9.445, 9.445 Å; angles 134.58, 56.34, 148.47 degrees
Fractional positions:
1 Mn 0.064 0.750 0.814
2 Mn 0.147 0.121 0.269
3 Mn 0.353 0.621 0.974
4 Mn 0.436 0.250 0.686
5 Mn 0.564 0.750 0.314
6 Mn 0.647 0.379 0.026
7 Mn 0.853 0.879 0.731
8 Mn 0.936 0.250 0.186
9 Nb 0.063 0.750 0.313
10 Nb 0.437 0.750 0.687
11 Nb 0.563 0.250 0.313
12 Nb 0.937 0.250 0.687
13 Si 0.058 0.400 0.459
14 Si 0.205 0.810 0.015
15 Si 0.250 0.250 0.000
16 Si 0.295 0.310 0.606
17 Si 0.442 0.900 0.342
18 Si 0.558 0.100 0.658
19 Si 0.705 0.690 0.394
20 Si 0.750 0.750 0.000
21 Si 0.795 0.190 0.985
22 Si 0.942 0.600 0.541

Space group: Ibam
Spin magnetization: 9.65 μB per formula unit
Formation energy from the elements: -193 meV/atom